First-principles (PBE) data for crystalline FeS at its relaxed geometry, as listed in Materials Project.

Geometry as extended XYZ:
```
8
Lattice="3.3220 0.0000 0.0000 0.0000 5.1766 0.0000 0.0000 0.0000 5.5691" Properties=species:S:1:pos:R:3 pbc="T T T"
Fe 2.4915 5.0952 1.1317
Fe 0.8305 0.0813 4.4374
Fe 2.4915 2.5069 1.6528
Fe 0.8305 2.6696 3.9162
S 2.4915 4.0620 3.2426
S 0.8305 1.1145 2.3265
S 2.4915 1.4737 5.1110
S 0.8305 3.7028 0.4580
```

Properties
- E_form: -12.2 kcal/mol of atoms
- Magnetic moment: 0.00 μB per formula unit

=====

First-principles (PBE) data for crystalline FeS at its relaxed geometry, as listed in Materials Project.

Geometry as extended XYZ:
```
4
Lattice="1.6730 -2.8977 0.0000 1.6730 2.8977 0.0000 0.0000 0.0000 5.2991" Properties=species:S:1:pos:R:3 pbc="T T T"
Fe 0.0000 0.0000 0.0000
Fe 0.0000 0.0000 2.6496
S 1.6730 0.9659 1.4028
S 1.6730 -0.9659 3.8963
```

Properties
- E_form: -11.3 kcal/mol of atoms
- Magnetic moment: 0.96 μB per formula unit

=====

First-principles (PBE) data for crystalline Fe11S12 at its relaxed geometry, as listed in Materials Project.

Geometry as extended XYZ:
```
46
Lattice="-6.6233 0.0000 0.0761 3.3117 -5.6846 -0.0380 -3.4878 0.0000 15.8516" Properties=species:S:1:pos:R:3 pbc="T T T"
Fe -2.6693 -3.1516 13.1787
Fe -4.2371 -5.3754 5.2910
Fe -5.9659 -3.1700 10.6799
Fe -0.9103 -5.3569 2.7160
Fe -4.0877 -5.4879 13.2534
Fe -5.6554 -3.0390 5.3657
Fe -4.6104 -5.6651 10.6401
Fe 0.4451 -2.8618 2.6762
Fe -2.6118 -2.8567 10.3263
Fe 2.4437 -5.6703 2.3624
Fe -5.5986 -2.9720 13.4098
Fe -0.5430 -5.5550 5.4459
Fe -2.1388 -2.5991 7.6387
Fe -3.8827 -0.2432 15.5645
Fe -4.5866 -0.2118 8.2560
Fe -2.8427 -2.6305 0.3302
Fe -7.3391 -0.2122 8.0152
Fe 1.0281 -2.6301 0.0134
Fe -5.9601 -2.5883 8.0079
Fe -4.2162 -0.2540 0.0821
Fe -4.6426 -0.1360 13.0000
Fe -2.8987 -2.7063 5.0742
S -2.5329 -4.7013 1.2649
S -0.9651 -3.8256 9.1526
S -7.5120 -3.8686 14.6654
S -2.4565 -4.6583 6.7015
S -4.2449 -2.0651 11.8270
S -2.5010 -0.7772 3.9012
S -2.6482 -0.9804 9.1448
S -0.9043 -1.8619 1.2190
S -4.1185 -1.8616 6.7676
S -5.8624 -0.9807 14.6934
S -4.3029 -3.8356 9.3068
S 0.7527 -4.6913 1.3430
S 0.9227 -4.6748 6.8112
S -4.1329 -3.8521 14.7750
S -4.2802 -1.7969 1.6526
S -6.0241 -1.0454 9.5784
S -9.0749 -1.0769 14.3280
S -0.7076 -1.7654 6.3262
S -5.8507 -0.8132 4.0034
S -7.5946 -2.0291 11.9292
S -6.0319 -4.8320 12.0830
S -0.9764 -3.6949 4.1192
S -4.2967 -3.7620 3.7575
S -2.7289 -4.7650 11.6453
```

Properties
- E_form: -13.8 kcal/mol of atoms
- Magnetic moment: 7.06 μB per formula unit

=====

> Among the records above, which one has the highest E_form?

number 2

=====

Repeat the second record exactly.
First-principles (PBE) data for crystalline FeS at its relaxed geometry, as listed in Materials Project.

Geometry as extended XYZ:
```
4
Lattice="1.6730 -2.8977 0.0000 1.6730 2.8977 0.0000 0.0000 0.0000 5.2991" Properties=species:S:1:pos:R:3 pbc="T T T"
Fe 0.0000 0.0000 0.0000
Fe 0.0000 0.0000 2.6496
S 1.6730 0.9659 1.4028
S 1.6730 -0.9659 3.8963
```

Properties
- E_form: -11.3 kcal/mol of atoms
- Magnetic moment: 0.96 μB per formula unit